# 1
Rb2GeO3 | PBE | relaxed

Structure (POSCAR):
```
Rb2GeO3
1.0
6.750 0.000 0.000
0.000 13.759 0.000
-5.046 0.000 16.215
Rb Ge O
24 12 36
Cartesian
-1.979 1.588 6.784
-4.502 5.291 14.891
-3.580 1.612 13.951
-1.057 5.268 5.843
-0.756 9.591 4.886
-3.280 11.047 12.993
-0.824 8.064 8.566
1.699 12.575 0.458
-1.596 6.941 12.638
0.927 13.698 4.531
-2.166 8.863 16.144
0.357 11.775 8.037
1.347 1.984 8.179
3.870 4.896 0.071
0.777 0.061 11.684
3.300 6.818 3.577
0.005 1.184 15.757
2.528 5.695 7.649
4.984 2.712 3.222
2.460 4.168 11.329
2.761 8.491 10.372
5.284 12.147 2.264
6.206 8.468 1.324
3.683 12.171 9.431
-2.060 1.622 10.302
0.464 5.257 2.195
1.318 2.091 1.633
-1.205 4.788 9.741
1.714 3.392 4.641
-0.809 3.488 12.749
2.513 10.271 3.466
-0.010 10.367 11.574
2.909 8.971 6.474
0.386 11.667 14.582
1.240 8.502 14.020
3.764 12.137 5.913
-3.848 8.011 13.823
-1.325 12.628 5.715
0.101 0.843 1.833
-2.422 6.037 9.941
-2.157 3.244 9.431
0.366 3.636 1.323
-1.460 10.048 10.657
1.063 10.590 2.549
-0.984 0.570 9.411
1.540 6.310 1.304
0.340 2.681 5.459
-2.183 4.199 13.567
-1.378 1.913 11.987
1.145 4.967 3.879
2.526 1.839 0.410
0.003 5.040 8.518
2.213 2.345 3.218
-0.310 4.534 11.325
2.014 9.224 4.890
-0.509 11.414 12.997
1.701 8.719 7.697
-0.822 11.920 15.805
0.559 8.792 12.336
3.082 11.846 4.228
3.887 9.560 2.648
1.364 11.078 10.756
0.164 7.449 14.911
2.688 13.189 6.804
0.641 3.169 13.666
3.164 3.710 5.558
1.338 10.123 14.892
3.861 10.515 6.784
4.126 7.722 6.274
1.603 12.916 14.382
3.029 1.131 10.500
5.552 5.748 2.392
```

Properties
E_form in meV/atom: -2076.4
E_tot in eV per atom: -5.30
V in Å³/atom: 20.917

# 2
Cs2U6Pd4S17 | PBE | relaxed

Structure (POSCAR):
```
Cs2U6Pd4S17
1.0
10.388 0.000 0.000
0.000 10.388 0.000
0.000 0.000 12.875
Cs U Pd S
4 12 8 34
Cartesian
0.000 0.000 2.739
0.000 0.000 10.136
5.194 5.194 3.699
5.194 5.194 9.177
0.000 5.194 3.219
0.000 5.194 9.656
1.223 2.478 6.438
2.478 9.165 6.438
2.716 3.971 0.000
3.971 7.672 0.000
5.194 0.000 3.219
5.194 0.000 9.656
6.418 2.716 0.000
7.672 6.418 0.000
7.911 1.223 6.438
9.165 7.911 6.438
0.690 6.637 0.000
1.442 5.884 6.438
3.752 0.690 0.000
4.504 1.442 6.438
5.884 8.946 6.438
6.637 9.698 0.000
8.946 4.504 6.438
9.698 3.752 0.000
0.000 0.000 6.438
0.845 3.111 1.687
0.845 3.111 11.189
0.950 7.527 4.763
0.950 7.527 8.112
2.084 4.349 4.751
2.084 4.349 8.124
2.333 6.144 1.674
2.333 6.144 11.201
2.861 0.950 4.763
2.861 0.950 8.112
3.111 9.544 1.687
3.111 9.544 11.189
4.244 2.333 1.674
4.244 2.333 11.201
4.349 8.305 4.751
4.349 8.305 8.124
5.194 5.194 0.000
6.039 2.084 4.751
6.039 2.084 8.124
6.144 8.055 1.674
6.144 8.055 11.201
7.278 0.845 1.687
7.278 0.845 11.189
7.527 9.439 4.763
7.527 9.439 8.112
8.055 4.244 1.674
8.055 4.244 11.201
8.305 6.039 4.751
8.305 6.039 8.124
9.439 2.861 4.763
9.439 2.861 8.112
9.544 7.278 1.687
9.544 7.278 11.189
```

Properties
E_form in meV/atom: -1457.5
E_tot in eV per atom: -6.70
V in Å³/atom: 23.956
Magnetic moment in μB per atom: 0.4020

# 3
Mg15B | PBE | relaxed

Structure (POSCAR):
```
Mg15B
1.0
6.289 0.000 0.000
-3.145 5.447 0.000
0.000 0.000 10.052
Mg B
15 1
Cartesian
0.000 0.000 0.000
-1.559 2.731 0.000
0.000 1.763 2.637
0.000 1.763 7.416
-1.618 4.565 2.637
-1.618 4.565 7.416
1.559 2.731 0.000
0.000 5.432 0.000
3.145 0.029 5.026
1.598 2.709 5.026
3.145 1.816 2.503
3.145 1.816 7.549
1.618 4.565 2.637
1.618 4.565 7.416
4.692 2.709 5.026
0.000 0.000 5.026
```

Properties
E_form in meV/atom: 182.1
E_tot in eV per atom: -1.74
V in Å³/atom: 21.523
Magnetic moment in μB per atom: 0.0003

# 4
MgSn5 | PBE | relaxed

Structure (POSCAR):
```
MgSn5
1.0
2.968 1.713 5.271
-2.968 1.713 5.271
0.000 -3.427 5.271
Mg Sn
1 5
Cartesian
0.000 0.000 0.000
-1.997 0.000 7.907
0.000 0.000 5.290
0.998 -1.729 7.907
0.000 0.000 10.523
0.998 1.729 7.907
```

Properties
E_form in meV/atom: 21.7
E_tot in eV per atom: -3.59
V in Å³/atom: 26.803